A geometry-optimized Bi2S3 structure. Source: the Materials Project database, functional PBE-GGA.

Properties
Its energy relative to the elements is -0.6440 eV/atom. The value obtained for the raw total energy is -4.380 eV per atom. Its space group is Pnma.

The structure in POSCAR format:
```
Bi2S3
1.0
4.0214 0.0000 0.0000
0.0000 11.1705 0.0000
0.0000 0.0000 11.7353
S Bi
12 8
Direct
0.7500 0.6908 0.7892 S
0.2500 0.1908 0.7108 S
0.7500 0.4453 0.6216 S
0.2500 0.3092 0.2108 S
0.2500 0.8704 0.5476 S
0.7500 0.8092 0.2892 S
0.2500 0.9453 0.8784 S
0.2500 0.6296 0.0476 S
0.2500 0.5547 0.3784 S
0.7500 0.0547 0.1216 S
0.7500 0.1296 0.4524 S
0.7500 0.3704 0.9524 S
0.2500 0.5322 0.8438 Bi
0.2500 0.9678 0.3438 Bi
0.7500 0.6736 0.4824 Bi
0.7500 0.8264 0.9824 Bi
0.7500 0.4678 0.1562 Bi
0.2500 0.1736 0.0176 Bi
0.7500 0.0322 0.6562 Bi
0.2500 0.3264 0.5176 Bi
```